No. 1
! Cr2Rh2C, relaxed, DFT PBE; values from VASP
! - formation energy from the elements (eV per formula unit) = -0.6
! - ρ (g cm⁻³) = 9.245
! - crystal system = trigonal
&SYSTEM
  ibrav = 0, nat = 5, ntyp = 3
/
ATOMIC_SPECIES
Cr 52.00 Cr.upf
Rh 102.91 Rh.upf
C 12.01 C.upf
CELL_PARAMETERS angstrom
-5.9688 6.5655 -0.7086
-6.7462 5.5420 1.7347
-4.6987 7.3889 1.6002
ATOMIC_POSITIONS angstrom
Cr -6.5681 7.3538 0.9906
Cr -10.8455 12.1427 1.6357
Rh -15.2906 17.1195 2.3060
Rh -2.1230 2.3770 0.3202
C 0.0000 0.0000 0.0000

No. 2
! Ta6CrC3S6, relaxed, DFT PBE; values from VASP
! - formation energy from the elements (eV per formula unit) = -17.0
! - ρ (g cm⁻³) = 9.299
! - total moment (μB/cell) = 3.2
! - crystal system = monoclinic
&SYSTEM
  ibrav = 0, nat = 16, ntyp = 4
/
ATOMIC_SPECIES
Ta 180.95 Ta.upf
Cr 52.00 Cr.upf
C 12.01 C.upf
S 32.06 S.upf
CELL_PARAMETERS angstrom
-4.0084 0.0581 4.1016
-1.2366 -2.0925 -5.1949
0.7459 -8.4695 2.1817
ATOMIC_POSITIONS angstrom
Ta -2.3254 -6.9997 -0.8426
Ta -0.1740 -5.5936 1.2421
Ta -3.2485 -6.2835 2.2535
Ta -2.1738 -3.5042 1.9310
Ta -1.2507 -4.2204 -1.1651
Ta -4.3252 -4.9103 -0.1537
Cr 0.0000 0.0000 0.0000
C -2.2496 -5.2519 0.5442
C -1.3318 -5.9640 -2.5341
C -3.1674 -4.5398 3.6225
S -3.4725 -3.3963 -2.0272
S -1.3287 -2.0129 0.0695
S -4.4003 -2.6764 1.0847
S -1.0266 -7.1076 3.1156
S -0.0988 -7.8274 0.0038
S -3.1705 -8.4910 1.0189

No. 3
! ScCrC2, relaxed, DFT PBE; values from VASP
! - formation energy from the elements (eV per formula unit) = -1.4
! - ρ (g cm⁻³) = 4.838
! - total moment (μB/cell) = 0.0
! - crystal system = orthorhombic
&SYSTEM
  ibrav = 0, nat = 16, ntyp = 3
/
ATOMIC_SPECIES
Sc 44.96 Sc.upf
Cr 52.00 Cr.upf
C 12.01 C.upf
CELL_PARAMETERS angstrom
-2.4799 0.9798 1.8517
-2.2457 -5.1899 -0.2616
4.5998 -2.3639 7.4112
ATOMIC_POSITIONS angstrom
Sc 2.8879 -3.0837 5.4994
Sc 0.5794 -1.8973 1.7799
Sc 0.5260 -5.1622 6.2816
Sc -1.7652 -3.9847 2.5900
Cr 0.2296 -5.9664 3.4644
Cr -1.4154 0.0845 0.9054
Cr -1.3285 -3.0701 -0.1547
Cr 0.1427 -2.8118 4.5246
C 0.6027 -4.0215 2.9350
C 1.3693 -4.4154 4.1701
C -1.7885 -1.8605 1.4349
C 2.0447 -3.8305 7.6109
C 2.1447 -6.9263 6.5372
C -1.6683 -4.9667 0.3937
C 1.2693 -1.3196 5.2439
C 0.4825 -0.9152 3.9761